This record from the Materials Project describes a geometry-optimized SbICl8 structure. The functional is r2SCAN.

a b c (Å): 7.1334 7.1334 24.2668
angles (deg): 90.00 90.00 90.00
Fractional positions:
1 Sb 0.9968 0.7672 0.7513
2 Sb 0.2328 0.9968 0.0013
3 Sb 0.0032 0.2328 0.2513
4 Sb 0.7672 0.0032 0.5013
5 Cl 0.2239 0.4007 0.5619
6 Cl 0.9342 0.1032 0.0446
7 Cl 0.8088 0.9502 0.6926
8 Cl 0.5866 0.6947 0.1880
9 Cl 0.7761 0.5993 0.0619
10 Cl 0.7331 0.1787 0.1864
11 Cl 0.5993 0.2239 0.8119
12 Cl 0.1032 0.0658 0.7946
13 Cl 0.3053 0.5866 0.4380
14 Cl 0.7798 0.3897 0.3062
15 Cl 0.1787 0.2669 0.9364
16 Cl 0.4134 0.3053 0.6880
17 Cl 0.6947 0.4134 0.9380
18 Cl 0.0825 0.5093 0.2042
19 Cl 0.2669 0.8213 0.6864
20 Cl 0.9175 0.4907 0.7042
21 Cl 0.8213 0.7331 0.4364
22 Cl 0.9502 0.1912 0.4426
23 Cl 0.6103 0.7798 0.5562
24 Cl 0.2634 0.7594 0.0677
25 Cl 0.8968 0.9342 0.2946
26 Cl 0.3897 0.2202 0.0562
27 Cl 0.4907 0.0825 0.4542
28 Cl 0.0658 0.8968 0.5446
29 Cl 0.4007 0.7761 0.3119
30 Cl 0.2406 0.2634 0.3177
31 Cl 0.7594 0.7366 0.8177
32 Cl 0.7366 0.2406 0.5677
33 Cl 0.1912 0.0498 0.1926
34 Cl 0.2202 0.6103 0.8062
35 Cl 0.0498 0.8088 0.9426
36 Cl 0.5093 0.9175 0.9542
37 I 0.8571 0.2400 0.8715
38 I 0.1429 0.7600 0.3715
39 I 0.7600 0.8571 0.1215
40 I 0.2400 0.1429 0.6215

Values from the calculation:
Its energy of formation from the pure elements is -5.277 eV/f.u. The density is 2.86 g/cm³. The value obtained for the total energy is -10.476 eV/atom.